A plane-wave DFT calculation with GGA-PBE was carried out for an optimized crystal structure of Na3In2Sn2P5SO24.

a b c (Å): 8.859 8.872 23.011
angles (deg): 89.87 89.70 60.10
Space group P1 (No. 1)
One atom of each set of equivalent atoms:
Na 0.000 0.000 0.000
Na 0.001 0.999 0.500
Na 0.030 0.662 0.583
Na 0.325 0.338 0.166
Na 0.328 0.328 0.666
Na 0.630 0.998 0.750
Na 0.658 0.672 0.333
Na 0.662 0.031 0.083
Na 0.668 0.652 0.833
In 0.001 0.989 0.147
In 0.320 0.329 0.816
In 0.323 0.327 0.017
In 0.328 0.321 0.517
In 0.329 0.326 0.316
In 0.997 0.001 0.647
Sn 0.004 0.980 0.350
Sn 0.657 0.665 0.185
Sn 0.659 0.657 0.685
Sn 0.660 0.668 0.481
Sn 0.667 0.659 0.981
Sn 0.991 0.001 0.849
P 0.029 0.327 0.916
P 0.031 0.623 0.417
P 0.289 0.991 0.749
P 0.293 0.697 0.248
P 0.327 0.030 0.415
P 0.371 0.949 0.081
P 0.372 0.659 0.582
P 0.628 0.028 0.916
P 0.660 0.954 0.584
P 0.661 0.372 0.083
P 0.700 0.291 0.749
P 0.702 0.993 0.248
P 0.948 0.372 0.582
P 0.954 0.658 0.084
P 0.996 0.701 0.748
S 0.328 0.627 0.916
S 0.629 0.326 0.416
S 0.992 0.288 0.249
O 0.007 0.810 0.411
O 0.013 0.160 0.910
O 0.018 0.186 0.197
O 0.021 0.778 0.691
O 0.103 0.364 0.861
O 0.112 0.513 0.362
O 0.126 0.365 0.578
O 0.134 0.497 0.078
O 0.137 0.551 0.473
O 0.138 0.296 0.971
O 0.147 0.309 0.255
O 0.155 0.521 0.755
O 0.159 0.014 0.408
O 0.170 0.803 0.909
O 0.182 0.022 0.695
O 0.185 0.778 0.195
O 0.188 0.820 0.586
O 0.191 0.969 0.086
O 0.210 0.958 0.805
O 0.216 0.812 0.304
O 0.295 0.137 0.470
O 0.298 0.552 0.969
O 0.311 0.517 0.256
O 0.320 0.147 0.755
O 0.351 0.497 0.577
O 0.359 0.521 0.863
O 0.363 0.106 0.361
O 0.365 0.126 0.078
O 0.455 0.837 0.027
O 0.456 0.688 0.527
O 0.476 0.826 0.745
O 0.478 0.680 0.244
O 0.482 0.630 0.637
O 0.486 0.646 0.922
O 0.488 0.870 0.136
O 0.490 0.843 0.421
O 0.498 0.133 0.579
O 0.499 0.350 0.078
O 0.520 0.153 0.255
O 0.520 0.306 0.757
O 0.522 0.106 0.860
O 0.523 0.358 0.363
O 0.552 0.137 0.972
O 0.555 0.295 0.468
O 0.632 0.872 0.641
O 0.633 0.483 0.138
O 0.644 0.845 0.922
O 0.648 0.484 0.422
O 0.685 0.472 0.744
O 0.690 0.454 0.027
O 0.690 0.822 0.245
O 0.697 0.835 0.530
O 0.777 0.175 0.696
O 0.778 0.022 0.192
O 0.807 0.169 0.408
O 0.813 0.212 0.804
O 0.815 0.005 0.910
O 0.817 0.964 0.303
O 0.822 0.692 0.744
O 0.823 0.188 0.087
O 0.830 0.961 0.587
O 0.831 0.464 0.245
O 0.837 0.457 0.527
O 0.837 0.695 0.029
O 0.842 0.490 0.922
O 0.846 0.642 0.422
O 0.868 0.489 0.637
O 0.869 0.629 0.139
O 0.956 0.823 0.802
O 0.960 0.828 0.087
O 0.962 0.209 0.303
O 0.966 0.193 0.585

The calculation puts the calculated formation energy at -2.42 eV/atom. The calculated density is 3.52 g cm⁻³.


A plane-wave DFT calculation with GGA-PBE was carried out for an optimized crystal structure of Dy2SeOF2.

a b c (Å): 13.4310 13.4310 3.7421
angles (deg): 90.00 90.00 120.00
Space group P6_3/m (No. 176)
One atom of each set of equivalent atoms:
Dy 0.0552 0.7662 0.2500
Dy 0.1165 0.5144 0.2500
Se 0.2064 0.7191 0.7500
O 0.0142 0.4266 0.7500
F 0.0667 0.3142 0.2500
F 0.1012 0.8940 0.7500

The calculation puts the calculated formation energy at -3.66 eV/atom. The calculated density is 7.80 g cm⁻³.


A plane-wave DFT calculation with GGA-PBE was carried out for an optimized crystal structure of Ti2ZnP2O9.

a b c (Å): 14.300 6.381 7.571
angles (deg): 90.00 90.00 90.00
Space group Pnma (No. 62)
One atom of each set of equivalent atoms:
Ti 0.000 0.000 0.000
Ti 0.119 0.250 0.350
Zn 0.228 0.250 0.943
P 0.072 0.750 0.362
P 0.192 0.750 0.880
O 0.007 0.250 0.498
O 0.025 0.750 0.177
O 0.061 0.250 0.128
O 0.135 0.543 0.895
O 0.140 0.563 0.379
O 0.231 0.250 0.524
O 0.250 0.250 0.204

The calculation puts the calculated formation energy at -2.75 eV/atom. The calculated density is 3.53 g cm⁻³.


A plane-wave DFT calculation with GGA-PBE was carried out for an optimized crystal structure of Rb2Cd3Te4.

a b c (Å): 14.839 15.682 13.228
angles (deg): 90.00 115.99 90.00
Space group C2/c (No. 15)
One atom of each set of equivalent atoms:
Rb 0.000 0.000 0.000
Rb 0.000 0.498 0.250
Rb 0.246 0.002 0.863
Cd 0.113 0.238 0.410
Cd 0.119 0.260 0.956
Cd 0.148 0.260 0.699
Te 0.000 0.117 0.250
Te 0.000 0.157 0.750
Te 0.019 0.361 0.502
Te 0.250 0.135 0.108
Te 0.250 0.144 0.621

The calculation puts the calculated formation energy at -0.88 eV/atom. The calculated density is 4.89 g cm⁻³.